{"formula": "Li5V3P8O29", "functional": "PBE with a Hubbard U", "state": "optimized geometry", "e_form_ev_per_atom": -2.61, "magmom_total_mub_per_fu": 2.00, "total_energy_ev_per_atom": -7.028, "cell": [[4.8846, 8.4474, 0.0000], [-4.8846, 8.4474, 0.0000], [0.0000, 0.0230, 13.9992]], "species": ["O", "V", "V", "Li", "Li", "O", "O", "Li", "O", "O", "O", "O", "O", "O", "P", "V", "O", "O", "O", "O", "V", "O", "P", "O", "O", "O", "P", "O", "O", "O", "O", "Li", "O", "O", "P", "O", "P", "P", "O", "O", "V", "P", "O", "Li", "O", "V", "O", "P", "O", "O", "O", "O", "O", "P", "O", "Li", "O", "P", "O", "Li", "O", "O", "O", "O", "P", "Li", "P", "P", "O", "O", "P", "O", "O", "P", "O", "O", "Li", "O", "O", "Li", "O", "O", "P", "O", "O", "O", "O", "O", "O", "O"], "fractional_positions": [[0.3799, 0.0909, 0.1706], [0.4352, 0.9983, 0.7532], [0.5655, 0.4345, 0.7500], [0.0946, 0.2371, 0.4397], [0.0000, 0.0000, 0.0000], [0.7869, 0.9837, 0.9348], [0.9963, 0.2229, 0.9282], [0.3381, 0.8965, 0.5582], [0.8138, 0.5111, 0.1706], [0.0909, 0.3799, 0.6706], [0.6671, 0.5211, 0.6799], [0.2584, 0.6589, 0.1656], [0.7856, 0.2058, 0.4282], [0.7971, 0.2029, 0.2500], [0.9099, 0.7764, 0.3439], [0.5648, 0.0017, 0.2468], [0.2144, 0.7942, 0.5718], [0.0009, 0.2030, 0.7475], [0.5111, 0.8138, 0.6706], [0.2613, 0.0809, 0.6631], [0.9983, 0.4352, 0.2532], [0.5211, 0.6671, 0.1799], [0.6935, 0.2257, 0.1555], [0.3381, 0.9156, 0.8430], [0.6619, 0.0844, 0.1570], [0.2058, 0.7856, 0.9282], [0.7764, 0.9099, 0.8439], [0.5373, 0.3834, 0.1689], [0.3329, 0.4789, 0.3201], [0.2131, 0.0163, 0.0652], [0.1879, 0.3240, 0.3321], [0.6619, 0.1035, 0.4418], [0.6613, 0.6661, 0.5238], [0.4686, 0.9120, 0.3272], [0.6680, 0.6642, 0.1299], [0.7387, 0.9191, 0.3369], [0.3358, 0.3320, 0.3701], [0.0883, 0.6869, 0.1610], [0.8121, 0.6760, 0.6679], [0.4889, 0.1862, 0.3294], [0.4345, 0.5655, 0.2500], [0.9117, 0.3131, 0.8390], [0.9837, 0.7869, 0.4348], [0.8965, 0.3381, 0.0582], [0.3387, 0.3339, 0.4762], [0.0017, 0.5648, 0.7468], [0.5314, 0.0880, 0.6728], [0.3320, 0.3358, 0.8701], [0.0880, 0.5314, 0.1728], [0.2029, 0.7971, 0.7500], [0.6201, 0.9091, 0.8294], [0.3240, 0.1879, 0.8321], [0.4627, 0.6166, 0.8311], [0.2236, 0.0901, 0.1561], [0.7970, 0.9991, 0.7525], [0.9054, 0.7629, 0.5603], [0.6661, 0.6613, 0.0238], [0.2257, 0.6935, 0.6555], [0.9091, 0.6201, 0.3294], [0.2371, 0.0946, 0.9397], [0.6760, 0.8121, 0.1679], [0.6589, 0.2584, 0.6656], [0.6166, 0.4627, 0.3311], [0.0844, 0.6619, 0.6570], [0.3131, 0.9117, 0.3390], [0.7629, 0.9054, 0.0603], [0.7743, 0.3065, 0.3445], [0.3065, 0.7743, 0.8445], [0.3834, 0.5373, 0.6689], [0.2229, 0.9963, 0.4282], [0.6869, 0.0883, 0.6610], [0.9120, 0.4686, 0.8272], [0.7416, 0.3411, 0.8344], [0.6642, 0.6680, 0.6299], [0.0163, 0.2131, 0.5652], [0.9991, 0.7970, 0.2525], [0.0000, 0.0000, 0.5000], [0.9191, 0.7387, 0.8369], [0.2030, 0.0009, 0.2475], [0.1035, 0.6619, 0.9418], [0.1862, 0.4889, 0.8294], [0.3339, 0.3387, 0.9762], [0.0901, 0.2236, 0.6561], [0.3411, 0.7416, 0.3344], [0.7942, 0.2144, 0.0718], [0.9156, 0.3381, 0.3430], [0.0809, 0.2613, 0.1631], [0.7771, 0.0037, 0.5718], [0.0037, 0.7771, 0.0718], [0.4789, 0.3329, 0.8201]]}

{"formula": "Li5V3P8O29", "functional": "PBE with a Hubbard U", "state": "optimized geometry", "e_form_ev_per_atom": -2.61, "magmom_total_mub_per_fu": 2.00, "total_energy_ev_per_atom": -7.027, "cell": [[4.9065, 8.5065, 0.0000], [-4.9065, 8.5065, 0.0000], [0.0000, 0.0191, 13.9830]], "species": ["P", "O", "O", "V", "O", "O", "O", "O", "Li", "P", "O", "O", "P", "Li", "P", "O", "O", "O", "O", "P", "P", "O", "O", "P", "O", "O", "O", "P", "O", "O", "V", "O", "O", "O", "Li", "O", "O", "O", "P", "O", "O", "O", "O", "O", "O", "V", "Li", "O", "Li", "Li", "O", "O", "P", "O", "O", "O", "P", "O", "O", "O", "O", "O", "O", "O", "O", "O", "V", "P", "V", "O", "P", "O", "O", "O", "O", "V", "O", "P", "O", "O", "P", "Li", "Li", "P", "O", "Li", "O", "Li", "O", "O"], "fractional_positions": [[0.3186, 0.7684, 0.5923], [0.2105, 0.7895, 0.5000], [0.6188, 0.9004, 0.5769], [0.5693, 0.4307, 0.5000], [0.0966, 0.5218, 0.9270], [0.2103, 0.9991, 0.0005], [0.7658, 0.9933, 0.3219], [0.4785, 0.1870, 0.0750], [0.9031, 0.7761, 0.3121], [0.6813, 0.2315, 0.9079], [0.9049, 0.6154, 0.0729], [0.7570, 0.0021, 0.6828], [0.9130, 0.7671, 0.0906], [0.0948, 0.6788, 0.6863], [0.3181, 0.9118, 0.0928], [0.9939, 0.2139, 0.4970], [0.6737, 0.5137, 0.4172], [0.6600, 0.6724, 0.2700], [0.4863, 0.3263, 0.5828], [0.7685, 0.3187, 0.0921], [0.3334, 0.3335, 0.6232], [0.7670, 0.2448, 0.1830], [0.2421, 0.0031, 0.1819], [0.0882, 0.6819, 0.9072], [0.1817, 0.3311, 0.0791], [0.3273, 0.4874, 0.0822], [0.0067, 0.2342, 0.6781], [0.9136, 0.3177, 0.5926], [0.9979, 0.2430, 0.3172], [0.2423, 0.0003, 0.8198], [0.4360, 0.5640, 0.0000], [0.7552, 0.2330, 0.8170], [0.6187, 0.4806, 0.0743], [0.6614, 0.0825, 0.9151], [0.3196, 0.7723, 0.8072], [0.3815, 0.5214, 0.4257], [0.0996, 0.3812, 0.4231], [0.6625, 0.2534, 0.4079], [0.6665, 0.6666, 0.3768], [0.3240, 0.1890, 0.5832], [0.2517, 0.0826, 0.4085], [0.8130, 0.5215, 0.9250], [0.9969, 0.7579, 0.8181], [0.7466, 0.3375, 0.5921], [0.0879, 0.2565, 0.9140], [0.4350, 0.9994, 0.4986], [0.3212, 0.9052, 0.3137], [0.1841, 0.4893, 0.5807], [0.2239, 0.0969, 0.6879], [0.2277, 0.6804, 0.1928], [0.6718, 0.6681, 0.7729], [0.2397, 0.7587, 0.3194], [0.6823, 0.0864, 0.4074], [0.2413, 0.7603, 0.6806], [0.4786, 0.6185, 0.5743], [0.4782, 0.9034, 0.0730], [0.2329, 0.0870, 0.9094], [0.8110, 0.6760, 0.4168], [0.3846, 0.0951, 0.9271], [0.9175, 0.3386, 0.0849], [0.6689, 0.8183, 0.9209], [0.3344, 0.7482, 0.0918], [0.7861, 0.0061, 0.5030], [0.3276, 0.3400, 0.7300], [0.7435, 0.9121, 0.0860], [0.5107, 0.8159, 0.4193], [0.0006, 0.5650, 0.5014], [0.2316, 0.6814, 0.4078], [0.5663, 0.0060, 0.0052], [0.9174, 0.7483, 0.5915], [0.7680, 0.9133, 0.5927], [0.3319, 0.3282, 0.2271], [0.5194, 0.3813, 0.9257], [0.2518, 0.6656, 0.9082], [0.3329, 0.9168, 0.5927], [0.9940, 0.4337, 0.9948], [0.5126, 0.6727, 0.9178], [0.3276, 0.3366, 0.1214], [0.9012, 0.4802, 0.5746], [0.0009, 0.7897, 0.9995], [0.6634, 0.6724, 0.8786], [0.0907, 0.2295, 0.1932], [0.7716, 0.3179, 0.3126], [0.0867, 0.2320, 0.4073], [0.0832, 0.6671, 0.4073], [0.6821, 0.2284, 0.6874], [0.9997, 0.7577, 0.1802], [0.7705, 0.9093, 0.8068], [0.7898, 0.2102, 0.0000], [0.5198, 0.0988, 0.4254]]}

{"formula": "Li3V3P4O16", "functional": "PBE with a Hubbard U", "state": "optimized geometry", "e_form_ev_per_atom": -2.69, "magmom_total_mub_per_fu": 6.00, "total_energy_ev_per_atom": -7.218, "cell": [[4.9827, 0.0000, 0.0000], [0.0000, 8.2303, 0.0000], [0.0000, 5.8311, 14.3971]], "species": ["O", "P", "O", "O", "O", "P", "O", "O", "O", "O", "V", "Li", "P", "O", "O", "O", "O", "O", "P", "O", "O", "O", "O", "Li", "O", "V", "O", "O", "Li", "Li", "P", "O", "P", "O", "O", "P", "O", "O", "O", "O", "O", "O", "O", "Li", "O", "V", "V", "O", "V", "P", "Li", "V"], "fractional_positions": [[0.3272, 0.4516, 0.5731], [0.5111, 0.9270, 0.8928], [0.0830, 0.3224, 0.2429], [0.6728, 0.5484, 0.4269], [0.7964, 0.9999, 0.8883], [0.4889, 0.0730, 0.1072], [0.7036, 0.9999, 0.3883], [0.4276, 0.9079, 0.8007], [0.9170, 0.6776, 0.7571], [0.9685, 0.2417, 0.5213], [0.0734, 0.1782, 0.7918], [0.5000, 0.0000, 0.5000], [0.0049, 0.4735, 0.1502], [0.2964, 0.0001, 0.6117], [0.2018, 0.5227, 0.3721], [0.5724, 0.0921, 0.1993], [0.1728, 0.4516, 0.0731], [0.2982, 0.5227, 0.8721], [0.0111, 0.0730, 0.6072], [0.5822, 0.3462, 0.3420], [0.4685, 0.7583, 0.9787], [0.5315, 0.2417, 0.0213], [0.7018, 0.4773, 0.1279], [0.0219, 0.7016, 0.6222], [0.0724, 0.9079, 0.3007], [0.9266, 0.8218, 0.2082], [0.7982, 0.4773, 0.6279], [0.1942, 0.0652, 0.4032], [0.5219, 0.2984, 0.8778], [0.4781, 0.7016, 0.1222], [0.4951, 0.4735, 0.6502], [0.5830, 0.6776, 0.2571], [0.5049, 0.5265, 0.3498], [0.2036, 0.0001, 0.1117], [0.6942, 0.9348, 0.0968], [0.9889, 0.9270, 0.3928], [0.0822, 0.6538, 0.1580], [0.8272, 0.5484, 0.9269], [0.8058, 0.9348, 0.5968], [0.0315, 0.7583, 0.4787], [0.9276, 0.0921, 0.6993], [0.3058, 0.0652, 0.9032], [0.9178, 0.3462, 0.8420], [0.0000, 0.0000, 0.0000], [0.4178, 0.6538, 0.6580], [0.4266, 0.1782, 0.2918], [0.5000, 0.5000, 0.0000], [0.4170, 0.3224, 0.7429], [0.0000, 0.5000, 0.5000], [0.9951, 0.5265, 0.8498], [0.9781, 0.2984, 0.3778], [0.5734, 0.8218, 0.7082]]}

{"formula": "Li4VP2O8", "functional": "PBE with a Hubbard U", "state": "optimized geometry", "e_form_ev_per_atom": -2.65, "magmom_total_mub_per_fu": 3.00, "total_energy_ev_per_atom": -6.648, "cell": [[10.3567, 0.0000, 0.0000], [0.0000, 8.3185, 0.0000], [0.0000, 2.6111, 8.0954]], "species": ["O", "O", "O", "O", "O", "Li", "O", "O", "O", "O", "P", "Li", "O", "O", "Li", "O", "P", "O", "Li", "O", "Li", "V", "P", "Li", "O", "P", "O", "O", "V", "Li", "P", "O", "O", "Li", "Li", "P", "O", "O", "O", "Li", "O", "Li", "Li", "O", "O", "O", "P", "O", "V", "O", "O", "O", "Li", "O", "Li", "O", "Li", "V", "Li", "P"], "fractional_positions": [[0.1551, 0.6579, 0.8741], [0.8277, 0.7804, 0.6084], [0.3277, 0.2196, 0.8916], [0.5839, 0.9554, 0.8317], [0.6058, 0.4352, 0.3160], [0.1599, 0.6001, 0.3975], [0.6604, 0.1307, 0.4609], [0.3396, 0.8693, 0.5391], [0.4161, 0.0446, 0.1683], [0.5523, 0.2856, 0.9737], [0.9077, 0.2897, 0.9825], [0.6618, 0.1576, 0.8577], [0.1058, 0.5648, 0.1840], [0.4455, 0.2553, 0.5188], [0.6599, 0.3999, 0.1025], [0.3449, 0.6579, 0.3741], [0.4158, 0.2228, 0.0364], [0.0545, 0.2553, 0.0188], [0.4264, 0.5164, 0.2409], [0.1434, 0.3456, 0.6281], [0.1604, 0.3473, 0.1592], [0.3561, 0.1198, 0.3721], [0.0842, 0.2228, 0.5364], [0.8396, 0.6527, 0.8408], [0.3942, 0.5648, 0.6840], [0.0923, 0.7103, 0.0175], [0.9161, 0.9554, 0.3317], [0.8942, 0.4352, 0.8160], [0.1439, 0.1198, 0.8721], [0.8401, 0.3999, 0.6025], [0.4077, 0.7103, 0.5175], [0.8449, 0.3421, 0.1259], [0.1604, 0.8693, 0.0391], [0.3382, 0.8424, 0.1423], [0.9264, 0.4836, 0.2591], [0.9158, 0.7772, 0.4636], [0.6434, 0.6544, 0.8719], [0.5545, 0.7447, 0.4812], [0.9455, 0.7447, 0.9812], [0.1618, 0.8424, 0.6423], [0.0523, 0.7144, 0.5263], [0.6604, 0.6527, 0.3408], [0.3401, 0.6001, 0.8975], [0.1723, 0.2196, 0.3916], [0.4477, 0.7144, 0.0263], [0.0839, 0.0446, 0.6683], [0.5923, 0.2897, 0.4825], [0.8396, 0.1307, 0.9609], [0.6439, 0.8802, 0.6279], [0.8566, 0.6544, 0.3719], [0.3566, 0.3456, 0.1281], [0.6551, 0.3421, 0.6259], [0.3396, 0.3473, 0.6592], [0.6723, 0.7804, 0.1084], [0.0736, 0.5164, 0.7409], [0.9477, 0.2856, 0.4737], [0.5736, 0.4836, 0.7591], [0.8561, 0.8802, 0.1279], [0.8382, 0.1576, 0.3577], [0.5842, 0.7772, 0.9636]]}

{"formula": "Li5V3P8O29", "functional": "PBE with a Hubbard U", "state": "optimized geometry", "e_form_ev_per_atom": -2.61, "magmom_total_mub_per_fu": 2.00, "total_energy_ev_per_atom": -7.024, "cell": [[-9.7746, -0.0005, -0.0194], [-4.8868, 8.4927, -0.0137], [-0.0280, 0.0058, -14.0692]], "species": ["V", "O", "O", "O", "P", "O", "P", "O", "O", "V", "P", "O", "O", "O", "O", "O", "Li", "Li", "O", "O", "O", "O", "O", "O", "P", "P", "Li", "V", "P", "O", "O", "O", "O", "O", "Li", "O", "O", "O", "Li", "O", "O", "P", "O", "O", "O", "O", "O", "Li", "P", "O", "O", "Li", "V", "O", "O", "P", "P", "P", "Li", "Li", "O", "P", "O", "O", "P", "O", "Li", "O", "O", "V", "O", "O", "O", "O", "O", "O", "O", "O", "P", "O", "O", "V", "O", "O", "O", "P", "O", "O", "P", "O"], "fractional_positions": [[0.4363, 0.0007, 0.2465], [0.3802, 0.0905, 0.6734], [0.9183, 0.6213, 0.8329], [0.9921, 0.7944, 0.5739], [0.6671, 0.6623, 0.1311], [0.8111, 0.5132, 0.6713], [0.7720, 0.3150, 0.8415], [0.0063, 0.7915, 0.9273], [0.6772, 0.8113, 0.6703], [0.9993, 0.5663, 0.2468], [0.7772, 0.9101, 0.3396], [0.2039, 0.7963, 0.2524], [0.3178, 0.3412, 0.4735], [0.9139, 0.3429, 0.8328], [0.2545, 0.6595, 0.6572], [0.0809, 0.2562, 0.6605], [0.8988, 0.3352, 0.5614], [0.3310, 0.9060, 0.0588], [0.3255, 0.1855, 0.3290], [0.3419, 0.7395, 0.8356], [0.7735, 0.0206, 0.0677], [0.2299, 0.7833, 0.4337], [0.6578, 0.2630, 0.1665], [0.9162, 0.4679, 0.3276], [0.3343, 0.3342, 0.8690], [0.2266, 0.6869, 0.1611], [0.7628, 0.8986, 0.5589], [0.5652, 0.4342, 0.2571], [0.9162, 0.3122, 0.3432], [0.8120, 0.6650, 0.1773], [0.9905, 0.2094, 0.0783], [0.1927, 0.3275, 0.8226], [0.7963, 0.0028, 0.2494], [0.9170, 0.7393, 0.3283], [0.9699, 0.9872, 0.4978], [0.7933, 0.9801, 0.4300], [0.0014, 0.7980, 0.7505], [0.2568, 0.0837, 0.1567], [0.3304, 0.7638, 0.5607], [0.6717, 0.6538, 0.0255], [0.0126, 0.1975, 0.2568], [0.6933, 0.2211, 0.6586], [0.4701, 0.6210, 0.3276], [0.5128, 0.8118, 0.1680], [0.0766, 0.5395, 0.6701], [0.7986, 0.2062, 0.5770], [0.6712, 0.5121, 0.1743], [0.2342, 0.0985, 0.4418], [0.9181, 0.7771, 0.8444], [0.7463, 0.3409, 0.3376], [0.6601, 0.0815, 0.6598], [0.6695, 0.0960, 0.9397], [0.4350, 0.5640, 0.7459], [0.3415, 0.9187, 0.3364], [0.6692, 0.6658, 0.5234], [0.6887, 0.0917, 0.1585], [0.2261, 0.0881, 0.6600], [0.3273, 0.3339, 0.3683], [0.9974, 0.9997, 0.9989], [0.2342, 0.6633, 0.9400], [0.2224, 0.7761, 0.0724], [0.0811, 0.6941, 0.6570], [0.0855, 0.6572, 0.1637], [0.4907, 0.1871, 0.8310], [0.3124, 0.7769, 0.3432], [0.4770, 0.3343, 0.3265], [0.7649, 0.3387, 0.0586], [0.2041, 0.0006, 0.7519], [0.5316, 0.0909, 0.1712], [0.0012, 0.4357, 0.7528], [0.3827, 0.5329, 0.1748], [0.6196, 0.9140, 0.3278], [0.2298, 0.9825, 0.9335], [0.1839, 0.4779, 0.3177], [0.2255, 0.0012, 0.5712], [0.6172, 0.4699, 0.8279], [0.0787, 0.3818, 0.1681], [0.3340, 0.3374, 0.9752], [0.0839, 0.2224, 0.1579], [0.5102, 0.6788, 0.6685], [0.3258, 0.4878, 0.8278], [0.5673, 0.9993, 0.7518], [0.4704, 0.9111, 0.8282], [0.7462, 0.9189, 0.8418], [0.7782, 0.2298, 0.9327], [0.3136, 0.9100, 0.8422], [0.9976, 0.2288, 0.4336], [0.5378, 0.3790, 0.6677], [0.6678, 0.6667, 0.6299], [0.7900, 0.1987, 0.7562]]}

- What is the formula in the third record?
  Li3V3P4O16